(1)
# Ho4FeS7 (PBE-GGA, optimized geometry)
data_Ho4FeS7
_chemical_formula_sum 'Ho4 Fe1 S7'
_cell_length_a 6.461
_cell_length_b 6.461
_cell_length_c 11.382
_cell_angle_alpha 76.06
_cell_angle_beta 76.06
_cell_angle_gamma 33.90
_symmetry_space_group_name_H-M 'P 1'
_symmetry_Int_Tables_number 1
loop_
_symmetry_equiv_pos_as_xyz
'x,y,z'
loop_
_atom_site_label
_atom_site_fract_x
_atom_site_fract_y
_atom_site_fract_z
Ho1 0.694 0.694 0.208
Ho2 0.306 0.306 0.800
Ho3 0.999 0.999 0.007
Ho4 0.112 0.112 0.564
Fe1 0.888 0.888 0.424
S1 0.745 0.745 0.637
S2 0.271 0.271 0.353
S3 0.337 0.337 0.052
S4 0.660 0.660 0.948
S5 0.031 0.031 0.228
S6 0.965 0.965 0.784
S7 0.490 0.490 0.494
# Magnetization (μB per cell): 4.0

(2)
# Ho4FeSe7 (PBE-GGA, optimized geometry)
data_Ho4FeSe7
_chemical_formula_sum 'Ho4 Fe1 Se7'
_cell_length_a 6.619
_cell_length_b 6.619
_cell_length_c 11.764
_cell_angle_alpha 76.49
_cell_angle_beta 76.49
_cell_angle_gamma 34.39
_symmetry_space_group_name_H-M 'P 1'
_symmetry_Int_Tables_number 1
loop_
_symmetry_equiv_pos_as_xyz
'x,y,z'
loop_
_atom_site_label
_atom_site_fract_x
_atom_site_fract_y
_atom_site_fract_z
Ho1 0.696 0.696 0.213
Ho2 0.306 0.306 0.797
Ho3 0.999 0.999 0.011
Ho4 0.107 0.107 0.557
Fe1 0.888 0.888 0.428
Se1 0.751 0.751 0.625
Se2 0.282 0.282 0.360
Se3 0.334 0.334 0.054
Se4 0.661 0.661 0.947
Se5 0.027 0.027 0.238
Se6 0.968 0.968 0.783
Se7 0.480 0.480 0.486
# Magnetization (μB per cell): 4.0

(3)
HoFe2Si2 after structural relaxation, computed with PBE-GGA.

CIF file:
```
data_HoFe2Si2
_chemical_formula_sum 'Ho1 Fe2 Si2'
_cell_length_a 3.954
_cell_length_b 3.954
_cell_length_c 5.508
_cell_angle_alpha 111.03
_cell_angle_beta 111.03
_cell_angle_gamma 90.00
_symmetry_space_group_name_H-M 'P 1'
_symmetry_Int_Tables_number 1
loop_
_symmetry_equiv_pos_as_xyz
'x,y,z'
loop_
_atom_site_label
_atom_site_fract_x
_atom_site_fract_y
_atom_site_fract_z
Ho1 0.000 0.000 0.000
Fe1 0.750 0.250 0.500
Fe2 0.250 0.750 0.500
Si1 0.634 0.634 0.268
Si2 0.366 0.366 0.732
```

(4)
# Ho4Fe5Si3 (PBE-GGA, optimized geometry)
data_Ho4Fe5Si3
_chemical_formula_sum 'Ho4 Fe5 Si3'
_cell_length_a 4.029
_cell_length_b 4.029
_cell_length_c 13.041
_cell_angle_alpha 90.00
_cell_angle_beta 90.00
_cell_angle_gamma 90.00
_symmetry_space_group_name_H-M 'P 1'
_symmetry_Int_Tables_number 1
loop_
_symmetry_equiv_pos_as_xyz
'x,y,z'
loop_
_atom_site_label
_atom_site_fract_x
_atom_site_fract_y
_atom_site_fract_z
Ho1 0.500 0.500 0.160
Ho2 0.500 0.500 0.659
Ho3 0.000 0.000 0.338
Ho4 0.000 0.000 0.844
Fe1 0.500 0.000 0.001
Fe2 0.500 0.000 0.500
Fe3 0.000 0.500 0.001
Fe4 0.000 0.500 0.500
Fe5 0.500 0.500 0.405
Si1 0.500 0.500 0.910
Si2 0.000 0.000 0.089
Si3 0.000 0.000 0.593
# Magnetization (μB per cell): 4.4

(5)
# Ho3Fe2Si3 (PBE-GGA, optimized geometry)
data_Ho3Fe2Si3
_chemical_formula_sum 'Ho6 Fe4 Si6'
_cell_length_a 5.630
_cell_length_b 5.630
_cell_length_c 13.562
_cell_angle_alpha 90.00
_cell_angle_beta 90.00
_cell_angle_gamma 137.64
_symmetry_space_group_name_H-M 'P 1'
_symmetry_Int_Tables_number 1
loop_
_symmetry_equiv_pos_as_xyz
'x,y,z'
loop_
_atom_site_label
_atom_site_fract_x
_atom_site_fract_y
_atom_site_fract_z
Ho1 0.638 0.362 0.250
Ho2 0.362 0.638 0.750
Ho3 0.921 0.079 0.113
Ho4 0.079 0.921 0.887
Ho5 0.079 0.921 0.613
Ho6 0.921 0.079 0.387
Fe1 0.785 0.215 0.580
Fe2 0.215 0.785 0.420
Fe3 0.215 0.785 0.080
Fe4 0.785 0.215 0.920
Si1 0.327 0.673 0.250
Si2 0.673 0.327 0.750
Si3 0.624 0.376 0.039
Si4 0.376 0.624 0.961
Si5 0.376 0.624 0.539
Si6 0.624 0.376 0.461
# Magnetization (μB per cell): 0.0

(6)
# Ho2FeSi4 (PBE-GGA, optimized geometry)
data_Ho2FeSi4
_chemical_formula_sum 'Ho2 Fe1 Si4'
_cell_length_a 3.974
_cell_length_b 4.084
_cell_length_c 7.793
_cell_angle_alpha 74.81
_cell_angle_beta 90.00
_cell_angle_gamma 90.00
_symmetry_space_group_name_H-M 'P 1'
_symmetry_Int_Tables_number 1
loop_
_symmetry_equiv_pos_as_xyz
'x,y,z'
loop_
_atom_site_label
_atom_site_fract_x
_atom_site_fract_y
_atom_site_fract_z
Ho1 0.250 0.897 0.206
Ho2 0.750 0.100 0.801
Fe1 0.250 0.694 0.613
Si1 0.250 0.544 0.913
Si2 0.750 0.438 0.123
Si3 0.250 0.256 0.488
Si4 0.750 0.756 0.488
# Energy above the lowest structure with this stoichiometry (meV/atom): 0
# Magnetization (μB per cell): 0.1

no.,VASP energy (eV/cell)
1,-76.216
2,-68.977
3,-35.772
4,-82.365
5,-104.665
6,-43.611